1.
Entry from the Materials Project database: crystalline NaGa11O18 at its relaxed geometry (PBE-GGA).

a = 9.0810 Å, b = 8.7131 Å, c = 9.5470 Å
α = 64.12°, β = 90.00°, γ = 90.00°
With the nearest neighbours (Å) after each atom.
Fractional positions:
1 O 0.2500 0.8611 0.5095  4 Ga 2.03-2.09
2 O 0.4153 0.1357 0.4774  3 Ga 1.87-2.09
3 O 0.5844 0.7456 0.0499  3 Ga 1.87-2.01
4 Ga 0.0766 0.6777 0.9516  6 O 1.94-2.15
5 O 0.9082 0.4726 0.3799  3 Ga 1.86-2.03
6 Ga 0.0856 0.9867 0.3593  6 O 1.95-2.12
7 O 0.9156 0.7456 0.0499  3 Ga 1.87-2.01
8 Ga 0.7500 0.9973 0.3630  6 O 1.93-2.09
9 O 0.7500 0.8152 0.2819  3 Ga 1.87-2.05
10 O 0.0933 0.7925 0.3055  3 Ga 1.85-2.04
11 Ga 0.5780 0.7109 0.2575  4 O 1.85-1.89
12 O 0.7500 0.8866 0.7741  3 Ga 1.93-1.96
13 O 0.2500 0.7295 0.0430  2 Ga 1.95
14 Ga 0.2500 0.0027 0.6370  6 O 1.93-2.09
15 O 0.9067 0.2075 0.6945  3 Ga 1.85-2.04
16 Ga 0.4234 0.6777 0.9516  6 O 1.94-2.15
17 O 0.2500 0.4727 0.3761  3 Ga 1.90-2.03
18 Ga 0.0759 0.3695 0.3466  4 O 1.86-1.90
19 Ga 0.5856 0.0133 0.6407  6 O 1.95-2.12
20 Ga 0.7500 0.3501 0.5395  6 O 2.03-2.09
21 Ga 0.9234 0.3223 0.0484  6 O 1.94-2.15
22 O 0.7500 0.1389 0.4905  4 Ga 2.03-2.09
23 Ga 0.4241 0.3695 0.3466  4 O 1.86-1.90
24 O 0.0847 0.1357 0.4774  3 Ga 1.87-2.09
25 O 0.7500 0.4232 0.1126  3 Ga 2.01-2.02
26 O 0.0844 0.2544 0.9501  3 Ga 1.87-2.01
27 O 0.2500 0.1848 0.7181  3 Ga 1.87-2.05
28 Ga 0.5766 0.3223 0.0484  6 O 1.94-2.15
29 Ga 0.5759 0.6305 0.6534  4 O 1.86-1.90
30 O 0.4156 0.2544 0.9501  3 Ga 1.87-2.01
31 O 0.5918 0.4726 0.3799  3 Ga 1.86-2.03
32 Ga 0.2500 0.3299 0.0444  6 O 1.93-2.08
33 Ga 0.2500 0.6499 0.4605  6 O 2.03-2.09
34 Ga 0.7500 0.6701 0.9556  6 O 1.93-2.08
35 O 0.7500 0.5273 0.6239  3 Ga 1.90-2.03
36 O 0.2500 0.1134 0.2259  3 Ga 1.93-1.96
37 O 0.4208 0.4204 0.1331  3 Ga 1.89-2.08
38 O 0.5829 0.1071 0.2335  3 Ga 1.93-1.95
39 O 0.9171 0.1071 0.2335  3 Ga 1.93-1.95
40 O 0.4082 0.5274 0.6201  3 Ga 1.86-2.03
41 O 0.0918 0.5274 0.6201  3 Ga 1.86-2.03
42 O 0.0829 0.8929 0.7665  3 Ga 1.93-1.95
43 O 0.4067 0.7925 0.3055  3 Ga 1.85-2.04
44 O 0.5847 0.8643 0.5226  3 Ga 1.87-2.09
45 O 0.7500 0.2705 0.9570  2 Ga 1.95
46 Ga 0.4220 0.2891 0.7425  4 O 1.85-1.89
47 O 0.9208 0.5796 0.8669  3 Ga 1.89-2.08
48 Ga 0.9144 0.0133 0.6407  6 O 1.95-2.12
49 O 0.0792 0.4204 0.1331  3 Ga 1.89-2.08
50 O 0.4171 0.8929 0.7665  3 Ga 1.93-1.95
51 O 0.5792 0.5796 0.8669  3 Ga 1.89-2.08
52 Ga 0.9241 0.6305 0.6534  4 O 1.86-1.90
53 Ga 0.9220 0.7109 0.2575  4 O 1.85-1.89
54 O 0.9153 0.8643 0.5226  3 Ga 1.87-2.09
55 Ga 0.4144 0.9867 0.3593  6 O 1.95-2.12
56 Na 0.7500 0.0190 0.9407  2 O 2.26-2.34
57 Na 0.2500 0.9810 0.0593  2 O 2.26-2.34
58 Ga 0.0780 0.2891 0.7425  4 O 1.85-1.89
59 O 0.2500 0.5768 0.8874  3 Ga 2.01-2.02
60 O 0.5933 0.2075 0.6945  3 Ga 1.85-2.04

Summary:
**Symmetry**: P2_1/m, No. 11
**Mass density**: 5.27 g cm⁻³
**DFT formation energy**: -2135 meV per atom
**Corrected total energy (MP2020 scheme)**: -6.26 eV per atom

---

2.
Entry from the Materials Project database: crystalline Na2Ga11O17 at its relaxed geometry (PBE-GGA).

a = 22.9894 Å, b = 5.9602 Å, c = 5.9737 Å
α = 60.18°, β = 90.00°, γ = 90.00°
With the nearest neighbours (Å) after each atom.
Fractional positions:
1 O 0.3436 0.0094 0.0061  3 Ga 1.87-1.99
2 O 0.5535 0.3432 0.3456  4 Ga 1.94-2.13
3 O 0.8436 0.9906 0.9939  3 Ga 1.87-1.99
4 Ga 0.1090 0.3351 0.3321  6 O 1.93-2.10
5 Ga 0.3248 0.8358 0.8280  4 O 1.82-1.89
6 O 0.1528 0.0137 0.4802  3 Ga 1.88-1.95
7 O 0.0582 0.1653 0.1640  4 Ga 1.93-2.10
8 Ga 0.1752 0.8358 0.8280  4 O 1.82-1.89
9 O 0.5582 0.8347 0.8360  4 Ga 1.93-2.10
10 O 0.0535 0.6568 0.6544  4 Ga 1.94-2.13
11 O 0.4459 0.1893 0.6559  4 Ga 1.95-2.11
12 O 0.5536 0.3426 0.8117  4 Ga 1.95-2.11
13 O 0.9465 0.3432 0.3456  4 Ga 1.94-2.13
14 O 0.8472 0.9863 0.5198  3 Ga 1.88-1.95
15 O 0.1508 0.5034 0.4983  3 Ga 1.97-1.98
16 Ga 0.0000 0.5000 0.5000  6 O 2.02-2.03
17 Ga 0.1101 0.8376 0.3294  6 O 1.95-2.13
18 Ga 0.6101 0.1624 0.6706  6 O 1.95-2.13
19 Ga 0.3910 0.3351 0.3321  6 O 1.93-2.10
20 O 0.5541 0.8107 0.3441  4 Ga 1.95-2.11
21 O 0.0541 0.1893 0.6559  4 Ga 1.95-2.11
22 O 0.1512 0.4859 0.0098  3 Ga 1.89-1.94
23 O 0.0536 0.6574 0.1883  4 Ga 1.95-2.11
24 Na 0.2500 0.2926 0.1391  3 O 2.45-2.49
25 Ga 0.8910 0.6649 0.6679  6 O 1.93-2.10
26 O 0.9464 0.3426 0.8117  4 Ga 1.95-2.11
27 Ga 0.3894 0.3333 0.8334  6 O 1.94-2.13
28 Ga 0.8894 0.6667 0.1666  6 O 1.94-2.13
29 O 0.6528 0.9863 0.5198  3 Ga 1.88-1.95
30 Ga 0.6090 0.6649 0.6679  6 O 1.93-2.10
31 O 0.2500 0.7502 0.8035  2 Ga 1.82
32 O 0.9459 0.8107 0.3441  4 Ga 1.95-2.11
33 Ga 0.8899 0.1624 0.6706  6 O 1.95-2.13
34 Ga 0.5257 0.1664 0.1670  4 O 1.93-1.95
35 O 0.6512 0.5141 0.9902  3 Ga 1.89-1.94
36 Ga 0.3899 0.8376 0.3294  6 O 1.95-2.13
37 O 0.4418 0.1653 0.1640  4 Ga 1.93-2.10
38 Na 0.7500 0.3803 0.4974  3 O 2.29-2.39
39 Na 0.7500 0.7074 0.8609  3 O 2.45-2.49
40 Na 0.2500 0.6197 0.5026  3 O 2.29-2.39
41 O 0.3492 0.5034 0.4983  3 Ga 1.97-1.98
42 O 0.3488 0.4859 0.0098  3 Ga 1.89-1.94
43 Ga 0.6106 0.6667 0.1666  6 O 1.94-2.13
44 O 0.6508 0.4966 0.5017  3 Ga 1.97-1.98
45 O 0.8492 0.4966 0.5017  3 Ga 1.97-1.98
46 Ga 0.8248 0.1642 0.1720  4 O 1.82-1.89
47 O 0.1564 0.0094 0.0061  3 Ga 1.87-1.99
48 O 0.6564 0.9906 0.9939  3 Ga 1.87-1.99
49 O 0.4464 0.6574 0.1883  4 Ga 1.95-2.11
50 Ga 0.5000 0.5000 0.5000  6 O 2.02-2.03
51 Ga 0.6752 0.1642 0.1720  4 O 1.82-1.89
52 Ga 0.9743 0.1664 0.1670  4 O 1.93-1.95
53 Ga 0.4743 0.8336 0.8330  4 O 1.93-1.95
54 O 0.7500 0.2498 0.1965  2 Ga 1.82
55 O 0.9418 0.8347 0.8360  4 Ga 1.93-2.10
56 O 0.4465 0.6568 0.6544  4 Ga 1.94-2.13
57 Ga 0.1106 0.3333 0.8334  6 O 1.94-2.13
58 O 0.8488 0.5141 0.9902  3 Ga 1.89-1.94
59 Ga 0.0257 0.8336 0.8330  4 O 1.93-1.95
60 O 0.3472 0.0137 0.4802  3 Ga 1.88-1.95

Summary:
**Symmetry**: P2_1/m, No. 11
**Mass density**: 5.07 g cm⁻³
**DFT formation energy**: -2197 meV per atom
**Corrected total energy (MP2020 scheme)**: -6.20 eV per atom

---

3.
Entry from the Materials Project database: crystalline NaGaP2O7 at its relaxed geometry (PBE-GGA).

a = 7.9231 Å, b = 7.3741 Å, c = 9.5743 Å
α = 67.84°, β = 90.00°, γ = 90.00°
With the nearest neighbours (Å) after each atom.
Fractional positions:
1 O 0.9158 0.4698 0.3487  1 P 1.52
2 O 0.1056 0.6358 0.1031  1 P 1.54
3 O 0.7869 0.8089 0.1227  1 P 1.53
4 O 0.6056 0.3642 0.3969  1 P 1.54
5 Na 0.5250 0.7104 0.2971  6 O 2.40-2.67
6 P 0.7105 0.3280 0.9537  4 O 1.52-1.63
7 Ga 0.0068 0.2581 0.7509  6 O 1.95-2.05
8 O 0.6335 0.8154 0.8942  1 P 1.51
9 P 0.7895 0.3280 0.4537  4 O 1.52-1.63
10 Na 0.4750 0.2896 0.7029  6 O 2.40-2.67
11 O 0.7973 0.3068 0.6187  1 P 1.53
12 Ga 0.9932 0.7419 0.2491  6 O 1.95-2.05
13 O 0.8665 0.8154 0.3942  1 P 1.51
14 O 0.1335 0.1846 0.6058  1 P 1.51
15 Ga 0.5068 0.7419 0.7491  6 O 1.95-2.05
16 O 0.3478 0.8766 0.0599  2 P 1.62-1.63
17 Na 0.0250 0.2896 0.2029  6 O 2.40-2.67
18 O 0.2869 0.1911 0.3773  1 P 1.53
19 P 0.2457 0.0741 0.0445  4 O 1.51-1.62
20 O 0.7131 0.8089 0.6227  1 P 1.53
21 O 0.2973 0.6932 0.8813  1 P 1.53
22 O 0.1522 0.8766 0.5599  2 P 1.62-1.63
23 P 0.2543 0.0741 0.5445  4 O 1.51-1.62
24 O 0.6522 0.1234 0.9401  2 P 1.62-1.63
25 O 0.4164 0.0109 0.6390  1 P 1.54
26 Na 0.9750 0.7104 0.7971  6 O 2.40-2.67
27 O 0.0842 0.5302 0.6513  1 P 1.52
28 O 0.5836 0.9891 0.3610  1 P 1.54
29 O 0.5842 0.4698 0.8487  1 P 1.52
30 O 0.4158 0.5302 0.1513  1 P 1.52
31 O 0.2131 0.1911 0.8773  1 P 1.53
32 O 0.7027 0.3068 0.1187  1 P 1.53
33 Ga 0.4932 0.2581 0.2509  6 O 1.95-2.05
34 O 0.0836 0.0109 0.1390  1 P 1.54
35 P 0.2895 0.6720 0.0463  4 O 1.52-1.63
36 O 0.9164 0.9891 0.8610  1 P 1.54
37 O 0.2027 0.6932 0.3813  1 P 1.53
38 O 0.3944 0.6358 0.6031  1 P 1.54
39 P 0.2105 0.6720 0.5463  4 O 1.52-1.63
40 P 0.7457 0.9259 0.4555  4 O 1.51-1.62
41 O 0.8478 0.1234 0.4401  2 P 1.62-1.63
42 O 0.3665 0.1846 0.1058  1 P 1.51
43 P 0.7543 0.9259 0.9555  4 O 1.51-1.62
44 O 0.8944 0.3642 0.8969  1 P 1.54

Summary:
**Symmetry**: P2_1/c, No. 14
**Mass density**: 3.42 g cm⁻³
**DFT formation energy**: -2611 meV per atom
**Corrected total energy (MP2020 scheme)**: -7.14 eV per atom